i) {
  "formula": "MgFe2Co4O8",
  "functional": "PBE with a Hubbard U",
  "state": "relaxed",
  "lattice": [[2.0228, -4.4253, 3.4283], [2.6565, 5.3203, 0.2478], [-0.7667, 2.1714, 5.3748]],
  "species": ["Mg", "Fe", "Fe", "Co", "Co", "Co", "Co", "O", "O", "O", "O", "O", "O", "O", "O"],
  "frac_coords": [[0.7671, 0.2572, 0.9932], [0.2808, 0.7700, 0.9931], [0.5327, 0.5214, 0.4921], [0.5268, 0.0148, 0.4925], [0.1854, 0.1995, 0.1430], [0.8612, 0.8262, 0.8420], [0.0245, 0.5155, 0.4944], [0.8323, 0.5257, 0.1879], [0.7233, 0.0663, 0.7401], [0.7523, 0.5446, 0.7085], [0.2831, 0.0742, 0.7113], [0.7702, 0.9576, 0.2779], [0.3027, 0.4902, 0.2749], [0.3236, 0.9597, 0.2462], [0.2298, 0.5167, 0.7985]]
}



ii) {
  "formula": "MgFe2Co4O8",
  "functional": "PBE with a Hubbard U",
  "state": "relaxed",
  "lattice": [[-4.5784, 4.2480, -0.0582], [4.5849, -0.0530, 4.3051], [4.5709, 4.2390, -0.0373]],
  "species": ["Mg", "Fe", "Fe", "Co", "Co", "Co", "Co", "O", "O", "O", "O", "O", "O", "O", "O"],
  "frac_coords": [[0.8981, 0.2545, 0.3434], [0.5033, 0.9957, 0.0046], [0.5016, 0.5049, 0.4908], [0.4100, 0.9553, 0.5623], [0.1868, 0.2481, 0.0670], [0.8454, 0.7526, 0.9020], [0.9830, 0.5361, 0.5504], [0.7353, 0.4719, 0.2974], [0.7324, 0.0329, 0.7301], [0.7176, 0.4788, 0.7669], [0.2545, 0.0219, 0.7628], [0.7705, 0.9882, 0.2209], [0.2889, 0.5127, 0.2172], [0.2872, 0.9696, 0.2518], [0.2812, 0.5269, 0.6866]]
}



Of them, the most stable is ii) and the least stable is i).